Compound: NaTaO3
Source: the Materials Project
Functional: PBE
Structure: optimized geometry

a b c (Å): 5.584 7.870 5.530
angles (deg): 90.00 90.00 90.00
Space group Pnma (No. 62)
One atom of each set of equivalent atoms:
Na  0.020  0.250  0.003 [4 per cell]
Ta  0.000  0.000  0.500 [4 per cell]
O  0.011  0.750  0.438 [4 per cell]
O  0.215  0.531  0.785 [8 per cell]

Computed properties:
- Uncorrected energy: -8.261 eV/atom
- DFT formation energy: -3.069 eV per atom
- Theoretical density: 6.89 g/cm3